1.
Crystalline Na3MnP8O23 at its relaxed geometry, computed with PBE+U.

E_form, eV per atom: -2.557
ρ, kg/m3: 2740
Total moment, Bohr magnetons per cell: 16.0
Crystal system: cubic

Cell: 12.1494 12.1494 12.1494 Å, 90.00 90.00 90.00°
Closest atoms and distances in Å follow each position.
Positions (direct):
O1 0.9117 0.5883 0.4117  1 P 1.48
O2 0.4586 0.8797 0.1373  1 P 1.50
O3 0.7665 0.9835 0.8750  2 P 1.61
O4 0.4242 0.0086 0.4046  2 P 1.58-1.64
O5 0.1373 0.4586 0.8797  1 P 1.50
O6 0.2414 0.1742 0.6546  2 P 1.58-1.64
O7 0.1617 0.8383 0.3383  1 P 1.48
O8 0.0758 0.9914 0.9046  2 P 1.58-1.64
O9 0.1297 0.7914 0.8873  1 P 1.50
O10 0.2914 0.6127 0.8703  1 P 1.50
O11 0.8703 0.2914 0.6127  1 P 1.50
O12 0.8258 0.1546 0.2586  2 P 1.58-1.64
O13 0.6742 0.8454 0.7586  2 P 1.58-1.64
O14 0.9586 0.6203 0.8627  1 P 1.50
O15 0.5883 0.4117 0.9117  1 P 1.48
O16 0.7380 0.1863 0.9321  1 P 1.49
O17 0.2380 0.3137 0.0679  1 P 1.49
O18 0.4914 0.5954 0.9242  2 P 1.58-1.64
O19 0.6203 0.8627 0.9586  1 P 1.50
O20 0.7086 0.1127 0.6297  1 P 1.50
O21 0.6127 0.8703 0.2914  1 P 1.50
O22 0.5758 0.5086 0.0954  2 P 1.58-1.64
O23 0.1203 0.6373 0.0414  1 P 1.50
O24 0.9914 0.9046 0.0758  2 P 1.58-1.64
O25 0.0165 0.3750 0.7335  2 P 1.61
O26 0.3627 0.5414 0.3797  1 P 1.50
O27 0.4880 0.1821 0.0637  1 P 1.49
O28 0.3797 0.3627 0.5414  1 P 1.50
O29 0.7620 0.8137 0.4321  1 P 1.49
O30 0.5165 0.1250 0.2665  2 P 1.61
O31 0.1127 0.6297 0.7086  1 P 1.50
O32 0.2086 0.3873 0.3703  1 P 1.50
O33 0.0883 0.0883 0.0883  1 P 1.48
O34 0.1742 0.6546 0.2414  2 P 1.58-1.64
O35 0.0120 0.8179 0.5637  1 P 1.49
O36 0.6863 0.5679 0.2620  1 P 1.49
O37 0.6546 0.2414 0.1742  2 P 1.58-1.64
O38 0.5414 0.3797 0.3627  1 P 1.50
O39 0.8383 0.3383 0.1617  1 P 1.48
O40 0.3179 0.9363 0.9880  1 P 1.49
O41 0.1546 0.2586 0.8258  2 P 1.58-1.64
O42 0.7914 0.8873 0.1297  1 P 1.50
O43 0.0679 0.2380 0.3137  1 P 1.49
O44 0.0414 0.1203 0.6373  1 P 1.50
O45 0.9835 0.8750 0.7665  2 P 1.61
O46 0.3750 0.7335 0.0165  2 P 1.61
O47 0.8627 0.9586 0.6203  1 P 1.50
O48 0.8750 0.7665 0.9835  2 P 1.61
O49 0.6821 0.4363 0.5120  1 P 1.49
O50 0.9321 0.7380 0.1863  1 P 1.49
O51 0.4363 0.5120 0.6821  1 P 1.49
O52 0.5086 0.0954 0.5758  2 P 1.58-1.64
O53 0.4117 0.9117 0.5883  1 P 1.48
O54 0.2620 0.6863 0.5679  1 P 1.49
O55 0.6373 0.0414 0.1203  1 P 1.50
O56 0.9242 0.4914 0.5954  2 P 1.58-1.64
O57 0.4046 0.4242 0.0086  2 P 1.58-1.64
O58 0.4835 0.6250 0.2335  2 P 1.61
O59 0.3873 0.3703 0.2086  1 P 1.50
O60 0.9363 0.9880 0.3179  1 P 1.49
O61 0.6297 0.7086 0.1127  1 P 1.50
O62 0.6617 0.6617 0.6617  1 P 1.48
O63 0.8873 0.1297 0.7914  1 P 1.50
O64 0.8137 0.4321 0.7620  1 P 1.49
O65 0.2586 0.8258 0.1546  2 P 1.58-1.64
O66 0.0637 0.4880 0.1821  1 P 1.49
O67 0.0086 0.4046 0.4242  2 P 1.58-1.64
O68 0.1863 0.9321 0.7380  1 P 1.49
O69 0.8797 0.1373 0.4586  1 P 1.50
O70 0.5120 0.6821 0.4363  1 P 1.49
O71 0.3454 0.7414 0.3258  2 P 1.58-1.64
O72 0.2665 0.5165 0.1250  2 P 1.61
O73 0.2335 0.4835 0.6250  2 P 1.61
O74 0.0954 0.5758 0.5086  2 P 1.58-1.64
O75 0.7335 0.0165 0.3750  2 P 1.61
O76 0.3258 0.3454 0.7414  2 P 1.58-1.64
O77 0.1250 0.2665 0.5165  2 P 1.61
O78 0.8179 0.5637 0.0120  1 P 1.49
O79 0.9046 0.0758 0.9914  2 P 1.58-1.64
O80 0.7414 0.3258 0.3454  2 P 1.58-1.64
O81 0.3137 0.0679 0.2380  1 P 1.49
O82 0.3383 0.1617 0.8383  1 P 1.48
O83 0.5637 0.0120 0.8179  1 P 1.49
O84 0.8454 0.7586 0.6742  2 P 1.58-1.64
O85 0.9880 0.3179 0.9363  1 P 1.49
O86 0.6250 0.2335 0.4835  2 P 1.61
O87 0.7586 0.6742 0.8454  2 P 1.58-1.64
O88 0.1821 0.0637 0.4880  1 P 1.49
O89 0.5954 0.9242 0.4914  2 P 1.58-1.64
O90 0.5679 0.2620 0.6863  1 P 1.49
O91 0.3703 0.2086 0.3873  1 P 1.50
O92 0.4321 0.7620 0.8137  1 P 1.49
P1 0.5179 0.4821 0.9821  4 O 1.48-1.58
P2 0.6412 0.3540 0.4313  4 O 1.49-1.64
P3 0.7679 0.2679 0.2321  4 O 1.48-1.58
P4 0.9821 0.5179 0.4821  4 O 1.48-1.58
P5 0.5687 0.1412 0.1460  4 O 1.49-1.64
P6 0.9313 0.8588 0.6460  4 O 1.49-1.64
P7 0.8960 0.3912 0.6813  4 O 1.49-1.64
P8 0.4313 0.6412 0.3540  4 O 1.49-1.64
P9 0.6040 0.6088 0.1813  4 O 1.49-1.64
P10 0.1813 0.6040 0.6088  4 O 1.49-1.64
P11 0.4821 0.9821 0.5179  4 O 1.48-1.58
P12 0.8588 0.6460 0.9313  4 O 1.49-1.64
P13 0.1460 0.5687 0.1412  4 O 1.49-1.64
P14 0.2321 0.7679 0.2679  4 O 1.48-1.58
P15 0.8187 0.1040 0.8912  4 O 1.49-1.64
P16 0.1040 0.8912 0.8187  4 O 1.49-1.64
P17 0.8540 0.0687 0.3588  4 O 1.49-1.64
P18 0.1088 0.3187 0.3960  4 O 1.49-1.64
P19 0.3187 0.3960 0.1088  4 O 1.49-1.64
P20 0.0179 0.0179 0.0179  4 O 1.48-1.58
P21 0.3540 0.4313 0.6412  4 O 1.49-1.64
P22 0.1412 0.1460 0.5687  4 O 1.49-1.64
P23 0.6088 0.1813 0.6040  4 O 1.49-1.64
P24 0.3912 0.6813 0.8960  4 O 1.49-1.64
P25 0.6460 0.9313 0.8588  4 O 1.49-1.64
P26 0.3960 0.1088 0.3187  4 O 1.49-1.64
P27 0.3588 0.8540 0.0687  4 O 1.49-1.64
P28 0.7321 0.7321 0.7321  4 O 1.48-1.58
P29 0.6813 0.8960 0.3912  4 O 1.49-1.64
P30 0.2679 0.2321 0.7679  4 O 1.48-1.58
P31 0.8912 0.8187 0.1040  4 O 1.49-1.64
P32 0.0687 0.3588 0.8540  4 O 1.49-1.64
Na1 0.6250 0.4566 0.7066  6 O 2.41-2.59
Na2 0.2066 0.8750 0.5434  6 O 2.41-2.59
Na3 0.5434 0.2066 0.8750  6 O 2.41-2.59
Na4 0.7934 0.3750 0.9566  6 O 2.41-2.59
Na5 0.9566 0.7934 0.3750  6 O 2.41-2.59
Na6 0.8750 0.5434 0.2066  6 O 2.41-2.59
Na7 0.7066 0.6250 0.4566  6 O 2.41-2.59
Na8 0.2934 0.1250 0.0434  6 O 2.41-2.59
Na9 0.3750 0.9566 0.7934  6 O 2.41-2.59
Na10 0.0434 0.2934 0.1250  6 O 2.41-2.59
Na11 0.4566 0.7066 0.6250  6 O 2.41-2.59
Na12 0.1250 0.0434 0.2934  6 O 2.41-2.59
Mn1 0.1250 0.6250 0.8750  6 O 2.03
Mn2 0.8750 0.1250 0.6250  6 O 2.03
Mn3 0.3750 0.3750 0.3750  6 O 2.03
Mn4 0.6250 0.8750 0.1250  6 O 2.03

---

2.
Crystalline NaMnP2O7 at its relaxed geometry, computed with PBE+U.

E_form, eV per atom: -2.529
ρ, kg/m3: 3182
Total moment, Bohr magnetons per cell: 8.0
Crystal system: triclinic

Cell: 6.6544 6.7838 6.4182 Å, 97.62 113.70 87.70°
Closest atoms and distances in Å follow each position.
Positions (direct):
P1 0.7638 0.1287 0.7813  4 O 1.48-1.63
P2 0.6504 0.6200 0.3505  4 O 1.52-1.59
P3 0.2362 0.8713 0.2187  4 O 1.48-1.63
P4 0.3496 0.3800 0.6495  4 O 1.52-1.59
Na1 0.1790 0.8636 0.7181  3 O 2.18-2.35
Na2 0.8210 0.1364 0.2819  3 O 2.18-2.35
O1 0.1101 0.6835 0.0445  1 P 1.59
O2 0.8613 0.0564 0.6147  1 P 1.48
O3 0.5251 0.2182 0.6359  2 P 1.59-1.63
O4 0.2751 0.0273 0.0870  1 P 1.53
O5 0.1387 0.9436 0.3853  1 P 1.48
O6 0.7656 0.6820 0.2063  1 P 1.52
O7 0.2344 0.3180 0.7937  1 P 1.52
O8 0.8144 0.6154 0.6009  1 P 1.54
O9 0.8899 0.3165 0.9555  1 P 1.59
O10 0.4749 0.7818 0.3641  2 P 1.59-1.63
O11 0.1856 0.3846 0.3991  1 P 1.54
O12 0.5300 0.4160 0.2471  1 P 1.55
O13 0.4700 0.5840 0.7529  1 P 1.55
O14 0.7249 0.9727 0.9130  1 P 1.53
Mn1 0.2185 0.3473 0.0984  4 O 1.95-2.01
Mn2 0.7815 0.6527 0.9016  4 O 1.95-2.01

---

3.
Crystalline Na2Mn3P3O12 at its relaxed geometry, computed with PBE+U.

E_form, eV per atom: -2.543
ρ, kg/m3: 3498
Total moment, Bohr magnetons per cell: 28.0
Crystal system: monoclinic

Cell: 8.7907 8.7907 6.7500 Å, 72.78 72.78 92.68°
Closest atoms and distances in Å follow each position.
Positions (direct):
O1 0.9964 0.3235 0.6021  1 P 1.57
O2 0.4591 0.7367 0.7536  1 P 1.55
O3 0.8293 0.8275 0.6157  1 P 1.56
O4 0.0466 0.4007 0.1898  1 P 1.57
O5 0.2715 0.4687 0.3259  1 P 1.54
O6 0.4007 0.0466 0.6898  1 P 1.57
O7 0.8299 0.2559 0.0406  1 P 1.56
O8 0.5313 0.7285 0.1741  1 P 1.54
O9 0.7285 0.5313 0.6741  1 P 1.54
O10 0.1725 0.1707 0.8843  1 P 1.56
O11 0.0036 0.6765 0.3979  1 P 1.57
O12 0.1701 0.7441 0.9594  1 P 1.56
O13 0.4687 0.2715 0.8259  1 P 1.54
O14 0.3235 0.9964 0.1021  1 P 1.57
O15 0.2633 0.5409 0.7464  1 P 1.55
O16 0.9534 0.5993 0.8102  1 P 1.57
O17 0.5409 0.2633 0.2464  1 P 1.55
O18 0.6765 0.0036 0.8979  1 P 1.57
O19 0.5993 0.9534 0.3102  1 P 1.57
O20 0.1707 0.1725 0.3843  1 P 1.56
O21 0.8275 0.8293 0.1157  1 P 1.56
O22 0.7367 0.4591 0.2536  1 P 1.55
O23 0.7441 0.1701 0.4594  1 P 1.56
O24 0.2559 0.8299 0.5406  1 P 1.56
Mn1 0.7315 0.2685 0.7500  6 O 2.21-2.34
Mn2 0.2685 0.7315 0.2500  6 O 2.21-2.34
Mn3 0.6189 0.9373 0.6359  6 O 2.00-2.22
Mn4 0.3811 0.0627 0.3641  6 O 2.00-2.22
Mn5 0.0627 0.3811 0.8641  6 O 2.00-2.22
Mn6 0.9373 0.6189 0.1359  6 O 2.00-2.22
P1 0.3432 0.1249 0.8753  4 O 1.54-1.57
P2 0.8751 0.6568 0.6247  4 O 1.54-1.57
P3 0.1249 0.3432 0.3753  4 O 1.54-1.57
P4 0.7165 0.2835 0.2500  4 O 1.55-1.56
P5 0.6568 0.8751 0.1247  4 O 1.54-1.57
P6 0.2835 0.7165 0.7500  4 O 1.55-1.56
Na1 0.9857 0.0143 0.2500  4 O 2.46-2.61
Na2 0.5000 0.5000 0.5000  4 O 2.37-2.43
Na3 0.0143 0.9857 0.7500  4 O 2.46-2.61
Na4 0.5000 0.5000 0.0000  4 O 2.37-2.43

---

4.
Crystalline NaMn2V3Pb2O12 at its relaxed geometry, computed with PBE+U.

E_form, eV per atom: -2.226
ρ, kg/m3: 5305
Total moment, Bohr magnetons per cell: 40.0
Crystal system: tetragonal

Cell: 11.3215 11.3215 11.3215 Å, 109.14 109.14 110.13°
Closest atoms and distances in Å follow each position.
Positions (direct):
O1 0.0120 0.9644 0.1423  1 V 1.76
O2 0.7380 0.3803 0.4524  1 V 1.76
O3 0.4270 0.1726 0.6608  1 V 1.75
O4 0.1303 0.9880 0.9524  1 V 1.76
O5 0.0366 0.4835 0.8650  1 V 1.76
O6 0.1185 0.9835 0.4470  1 V 1.76
O7 0.5118 0.7662 0.3392  1 V 1.75
O8 0.0165 0.4634 0.1350  1 V 1.76
O9 0.3230 0.4838 0.2456  1 V 1.75
O10 0.1197 0.7620 0.5476  1 V 1.76
O11 0.8284 0.9634 0.4470  1 V 1.76
O12 0.2338 0.5730 0.7456  1 V 1.75
O13 0.6185 0.1716 0.1350  1 V 1.76
O14 0.2335 0.2866 0.3650  1 V 1.76
O15 0.4216 0.7866 0.0530  1 V 1.76
O16 0.2380 0.7856 0.3577  1 V 1.76
O17 0.9270 0.2662 0.2544  1 V 1.75
O18 0.0162 0.1770 0.7544  1 V 1.75
O19 0.2382 0.0774 0.7544  1 V 1.75
O20 0.6315 0.5784 0.3650  1 V 1.76
O21 0.5120 0.3697 0.0476  1 V 1.76
O22 0.7134 0.0784 0.9470  1 V 1.76
O23 0.8221 0.8697 0.8577  1 V 1.76
O24 0.9216 0.8685 0.6350  1 V 1.76
O25 0.7382 0.9838 0.1608  1 V 1.75
O26 0.0118 0.6726 0.7456  1 V 1.75
O27 0.7144 0.2620 0.6423  1 V 1.76
O28 0.4279 0.8803 0.6423  1 V 1.76
O29 0.9279 0.2856 0.5476  1 V 1.76
O30 0.8274 0.4882 0.2544  1 V 1.75
O31 0.6303 0.6779 0.1423  1 V 1.76
O32 0.4226 0.2618 0.2456  1 V 1.75
O33 0.1315 0.7665 0.0530  1 V 1.76
O34 0.8230 0.5774 0.8392  1 V 1.75
O35 0.5356 0.4880 0.8577  1 V 1.76
O36 0.5165 0.3815 0.5530  1 V 1.76
O37 0.7338 0.9882 0.6608  1 V 1.75
O38 0.3274 0.0730 0.3392  1 V 1.75
O39 0.2144 0.5721 0.4524  1 V 1.76
O40 0.7335 0.3685 0.9470  1 V 1.76
O41 0.3221 0.4644 0.9524  1 V 1.76
O42 0.6197 0.0721 0.3577  1 V 1.76
O43 0.2134 0.2665 0.6350  1 V 1.76
O44 0.0356 0.1779 0.0476  1 V 1.76
O45 0.5366 0.6716 0.5530  1 V 1.76
O46 0.5162 0.7618 0.8392  1 V 1.75
O47 0.9226 0.6770 0.1608  1 V 1.75
O48 0.3284 0.8815 0.8650  1 V 1.76
Pb1 0.8750 0.7473 0.3723  8 O 2.56-2.74
Pb2 0.8750 0.2473 0.8723  8 O 2.56-2.74
Pb3 0.3750 0.5027 0.6277  8 O 2.56-2.74
Pb4 0.3750 0.0027 0.1277  8 O 2.56-2.74
Pb5 0.2527 0.6250 0.1277  8 O 2.56-2.74
Pb6 0.4973 0.1250 0.8723  8 O 2.56-2.74
Pb7 0.9973 0.1250 0.3723  8 O 2.56-2.74
Pb8 0.7527 0.6250 0.6277  8 O 2.56-2.74
Mn1 0.6250 0.8750 0.2500  6 O 2.18-2.20
Mn2 0.1250 0.8750 0.2500  6 O 2.18-2.20
Mn3 0.6250 0.3750 0.2500  6 O 2.18-2.20
Mn4 0.1250 0.3750 0.7500  6 O 2.18-2.20
Mn5 0.1250 0.8750 0.7500  6 O 2.18-2.20
Mn6 0.6250 0.3750 0.7500  6 O 2.18-2.20
Mn7 0.6250 0.8750 0.7500  6 O 2.18-2.20
Mn8 0.1250 0.3750 0.2500  6 O 2.18-2.20
Na1 0.5000 0.0000 0.5000  8 O 2.58-2.75
Na2 0.2500 0.2500 0.0000  8 O 2.58-2.75
Na3 0.7500 0.7500 0.0000  8 O 2.58-2.75
Na4 0.0000 0.5000 0.5000  8 O 2.58-2.75
V1 0.5000 0.5000 0.0000  4 O 1.76
V2 0.0000 0.0000 0.0000  4 O 1.76
V3 0.8750 0.4998 0.1248  4 O 1.75-1.76
V4 0.3750 0.2502 0.3752  4 O 1.75-1.76
V5 0.2498 0.1250 0.6248  4 O 1.75-1.76
V6 0.7500 0.2500 0.5000  4 O 1.76
V7 0.5002 0.6250 0.3752  4 O 1.75-1.76
V8 0.7498 0.1250 0.1248  4 O 1.75-1.76
V9 0.8750 0.9998 0.6248  4 O 1.75-1.76
V10 0.2500 0.7500 0.5000  4 O 1.76
V11 0.0002 0.6250 0.8752  4 O 1.75-1.76
V12 0.3750 0.7502 0.8752  4 O 1.75-1.76